Entry 1:
GGA+U Li3Fe2P3O12, relaxed; energy with MP2020 corrections = -0.272 hartree per atom; E_form = -2.492 eV per atom; symmetry = P-1 (2); energy above the lowest structure with this stoichiometry = 0.015 eV per atom
1.0
-8.489 0.009 0.048
4.245 -7.925 -0.154
-4.214 -2.453 6.976
Li Fe P O
6 4 6 24
Direct
0.170 0.335 0.594
0.568 0.316 0.839
0.809 0.145 0.274
0.191 0.855 0.726
0.432 0.684 0.161
0.830 0.665 0.406
0.695 0.041 0.658
0.712 0.568 0.137
0.288 0.432 0.863
0.305 0.959 0.342
0.784 0.247 0.968
0.790 0.744 0.746
0.498 0.247 0.543
0.502 0.753 0.457
0.210 0.256 0.254
0.216 0.753 0.032
0.708 0.192 0.834
0.872 0.740 0.872
0.971 0.799 0.531
0.676 0.217 0.513
0.598 0.553 0.796
0.987 0.718 0.129
0.710 0.871 0.788
0.635 0.103 0.166
0.382 0.265 0.744
0.788 0.418 0.994
0.607 0.422 0.392
0.321 0.085 0.535
0.679 0.915 0.465
0.393 0.578 0.608
0.212 0.582 0.006
0.618 0.735 0.256
0.365 0.897 0.834
0.290 0.129 0.212
0.013 0.282 0.871
0.402 0.447 0.204
0.324 0.783 0.487
0.029 0.201 0.469
0.128 0.260 0.128
0.292 0.808 0.166



Entry 2:
GGA+U LiFe2P2O8, relaxed; energy with MP2020 corrections = -0.281 hartree per atom; E_form = -2.328 eV per atom; symmetry = P1 (1); energy above the lowest structure with this stoichiometry = 0.060 eV per atom
1.0
4.551 0.000 0.000
-1.264 -5.052 0.000
-1.683 0.217 -7.508
Li Fe P O
1 2 2 8
Direct
0.312 0.310 0.024
0.051 0.245 0.390
0.946 0.767 0.590
0.348 0.813 0.267
0.642 0.177 0.735
0.157 0.641 0.399
0.306 0.079 0.612
0.235 0.070 0.223
0.339 0.649 0.109
0.634 0.299 0.908
0.796 0.940 0.760
0.692 0.907 0.386
0.826 0.388 0.619



Entry 3:
GGA+U LiFeP2O7, relaxed; energy with MP2020 corrections = -0.274 hartree per atom; E_form = -2.388 eV per atom; symmetry = Cc (9); energy above the lowest structure with this stoichiometry = 0.138 eV per atom
1.0
-7.947 -1.857 0.989
-5.709 -5.815 -1.077
-1.335 -4.611 7.390
Li Fe P O
2 2 4 14
Direct
0.141 0.466 0.549
0.466 0.141 0.049
0.510 0.500 0.503
0.500 0.510 0.003
0.770 0.037 0.313
0.970 0.234 0.188
0.234 0.970 0.688
0.037 0.770 0.813
0.377 0.815 0.844
0.036 0.968 0.252
0.254 0.564 0.936
0.425 0.764 0.561
0.764 0.425 0.061
0.968 0.036 0.752
0.895 0.763 0.382
0.815 0.377 0.344
0.763 0.895 0.882
0.111 0.246 0.626
0.564 0.254 0.436
0.619 0.190 0.157
0.246 0.111 0.126
0.190 0.619 0.657



Entry 4:
GGA+U LiFe2P2O8, relaxed; energy with MP2020 corrections = -0.282 hartree per atom; E_form = -2.336 eV per atom; symmetry = Pc (7); energy above the lowest structure with this stoichiometry = 0.053 eV per atom
1.0
6.700 0.000 0.000
0.000 5.179 0.000
0.000 0.321 10.730
Li Fe P O
2 4 4 16
Direct
0.241 0.249 0.670
0.759 0.249 0.170
0.468 0.247 0.920
0.948 0.753 0.590
0.532 0.247 0.420
0.052 0.753 0.090
0.224 0.749 0.825
0.722 0.252 0.677
0.776 0.749 0.325
0.278 0.252 0.177
0.044 0.802 0.915
0.410 0.889 0.870
0.255 0.456 0.817
0.711 0.323 0.813
0.169 0.864 0.691
0.751 0.957 0.659
0.912 0.389 0.616
0.529 0.329 0.602
0.956 0.802 0.415
0.590 0.889 0.370
0.745 0.456 0.317
0.289 0.323 0.313
0.831 0.864 0.191
0.249 0.957 0.159
0.088 0.389 0.116
0.471 0.329 0.102



Entry 5:
GGA+U LiFePO4, relaxed; energy with MP2020 corrections = -0.278 hartree per atom; E_form = -2.480 eV per atom; symmetry = Pnma (62); energy above the lowest structure with this stoichiometry = 0.000 eV per atom
1.0
1.654 3.057 3.232
-0.228 -7.528 7.235
5.707 -1.561 -1.444
Li Fe P O
4 4 4 16
Direct
0.000 0.000 0.000
0.500 0.500 0.000
0.500 0.500 0.500
0.000 0.000 0.500
0.475 0.218 0.750
0.025 0.718 0.750
0.975 0.282 0.250
0.525 0.782 0.250
0.418 0.095 0.250
0.918 0.405 0.750
0.082 0.595 0.250
0.582 0.905 0.750
0.742 0.097 0.250
0.242 0.403 0.750
0.758 0.597 0.250
0.258 0.903 0.750
0.207 0.457 0.250
0.707 0.043 0.750
0.293 0.957 0.250
0.793 0.543 0.750
0.285 0.165 0.047
0.785 0.335 0.953
0.784 0.335 0.547
0.284 0.166 0.453
0.216 0.666 0.453
0.716 0.835 0.547
0.715 0.835 0.953
0.215 0.666 0.047



Entry 6:
GGA+U Li3Fe2P3O12, relaxed; energy with MP2020 corrections = -0.271 hartree per atom; E_form = -2.452 eV per atom; symmetry = C2 (5); energy above the lowest structure with this stoichiometry = 0.055 eV per atom
1.0
6.700 7.128 0.000
-6.700 7.128 0.000
0.000 0.808 9.747
Li Fe P O
12 8 12 48
Direct
0.771 0.960 0.601
0.516 0.176 0.471
0.040 0.229 0.399
0.824 0.484 0.529
0.032 0.485 0.257
0.515 0.968 0.743
0.732 0.657 0.267
0.343 0.268 0.733
0.162 0.500 0.993
0.000 0.755 0.097
0.500 0.838 0.007
0.245 0.000 0.903
0.750 0.028 0.221
0.021 0.745 0.723
0.470 0.530 0.500
0.248 0.752 0.500
0.749 0.251 0.000
0.972 0.250 0.779
0.527 0.473 0.000
0.255 0.979 0.277
0.172 0.050 0.599
0.652 0.327 0.698
0.152 0.450 0.578
0.673 0.348 0.302
0.050 0.179 0.097
0.451 0.153 0.073
0.550 0.848 0.422
0.950 0.828 0.401
0.320 0.660 0.199
0.847 0.549 0.927
0.340 0.680 0.801
0.821 0.950 0.903
0.289 0.095 0.681
0.030 0.118 0.643
0.567 0.212 0.654
0.809 0.310 0.662
0.189 0.087 0.442
0.109 0.383 0.721
0.609 0.469 0.628
0.690 0.191 0.338
0.309 0.415 0.563
0.118 0.038 0.147
0.390 0.108 0.218
0.067 0.405 0.464
0.531 0.391 0.372
0.375 0.673 0.641
0.121 0.611 0.581
0.613 0.123 0.080
0.889 0.167 0.126
0.788 0.433 0.346
0.088 0.300 0.176
0.409 0.065 0.961
0.665 0.376 0.142
0.833 0.111 0.874
0.585 0.691 0.437
0.913 0.811 0.558
0.088 0.190 0.940
0.416 0.308 0.045
0.166 0.890 0.629
0.327 0.625 0.359
0.595 0.933 0.536
0.905 0.711 0.319
0.192 0.599 0.152
0.389 0.879 0.419
0.110 0.834 0.371
0.877 0.387 0.920
0.624 0.335 0.858
0.459 0.606 0.132
0.935 0.591 0.039
0.882 0.970 0.357
0.617 0.891 0.279
0.692 0.584 0.955
0.317 0.818 0.165
0.394 0.541 0.868
0.892 0.610 0.782
0.810 0.912 0.060
0.182 0.683 0.835
0.401 0.808 0.848
0.962 0.882 0.853
0.700 0.912 0.824



Entry 7:
GGA+U LiFeP2O7, relaxed; energy with MP2020 corrections = -0.277 hartree per atom; E_form = -2.470 eV per atom; symmetry = P2_1/c (14); energy above the lowest structure with this stoichiometry = 0.056 eV per atom
1.0
-4.294 6.632 1.546
-2.919 -0.939 -4.074
-11.074 -8.060 3.823
Li Fe P O
4 4 8 28
Direct
0.779 0.044 0.747
0.279 0.956 0.753
0.721 0.044 0.247
0.221 0.956 0.253
0.848 0.689 0.117
0.348 0.311 0.383
0.652 0.689 0.617
0.152 0.311 0.883
0.707 0.322 0.476
0.466 0.566 0.179
0.966 0.434 0.321
0.207 0.678 0.024
0.793 0.322 0.976
0.034 0.566 0.679
0.534 0.434 0.821
0.293 0.678 0.524
0.543 0.202 0.778
0.864 0.689 0.259
0.328 0.401 0.508
0.091 0.729 0.101
0.142 0.531 0.337
0.892 0.330 0.434
0.210 0.921 0.924
0.392 0.670 0.066
0.710 0.079 0.576
0.642 0.469 0.163
0.591 0.271 0.399
0.364 0.311 0.241
0.828 0.599 0.992
0.043 0.798 0.722
0.957 0.202 0.278
0.172 0.401 0.008
0.636 0.689 0.759
0.409 0.729 0.601
0.358 0.531 0.837
0.290 0.921 0.424
0.608 0.330 0.934
0.790 0.079 0.076
0.108 0.670 0.566
0.858 0.469 0.663
0.909 0.271 0.899
0.672 0.599 0.492
0.136 0.311 0.741
0.457 0.798 0.222



Entry 8:
GGA+U LiFePO4, relaxed; energy with MP2020 corrections = -0.277 hartree per atom; E_form = -2.465 eV per atom; energy above the lowest structure with this stoichiometry = 0.015 eV per atom
1.0
1.391 4.075 2.550
7.197 -4.243 2.546
1.394 4.074 -7.648
Li Fe P O
4 4 4 16
Direct
0.024 0.505 0.473
0.524 0.505 0.973
0.968 0.005 0.029
0.468 0.005 0.529
0.975 0.249 0.777
0.526 0.749 0.724
0.475 0.249 0.277
0.026 0.749 0.224
0.978 0.126 0.398
0.478 0.126 0.898
0.522 0.626 0.354
0.022 0.626 0.854
0.302 0.150 0.048
0.802 0.150 0.548
0.646 0.650 0.203
0.146 0.650 0.703
0.791 0.097 0.245
0.291 0.097 0.745
0.214 0.597 0.323
0.714 0.597 0.823
0.159 0.281 0.429
0.659 0.281 0.929
0.082 0.781 0.007
0.582 0.781 0.507
0.641 0.478 0.389
0.141 0.478 0.889
0.164 0.978 0.366
0.664 0.978 0.866